(1)
Material: V2CrTc
Method: DFT, PBE
State: relaxed

As for the electronic total energy: -9.79 eV per atom. The energy of formation is -0.24 eV/atom.

Cell lengths 5.947, 5.947, 5.947 Å; angles 90.00, 90.00, 90.00 degrees
Space group Fm-3m (No. 225)
Asymmetric unit:
1 V 0.250 0.250 0.250
2 Cr 0.000 0.000 0.000
3 Tc 0.000 0.000 0.500



(2)
Material: MgTiZnBi2O6
Method: DFT, PBE
State: relaxed

As for the electronic total energy: -6.02 eV per atom. The calculation puts the MP2020-corrected energy at -70.3 eV for the cell shown. The energy of formation is -2.01 eV/atom.

Cell lengths 5.515, 5.515, 6.576 Å; angles 90.00, 90.00, 90.00 degrees
Space group P4mm (No. 99)
Asymmetric unit:
1 Mg 0.000 0.000 0.000
2 Ti 0.500 0.500 0.075
3 Zn 0.000 0.000 0.392
4 Bi 0.000 0.500 0.762
5 O 0.000 0.000 0.680
6 O 0.265 0.265 0.947
7 O 0.500 0.500 0.333



(3)
Material: SnO2
Method: DFT, PBE
State: relaxed

As for the electronic total energy: -6.27 eV per atom. The calculation puts the MP2020-corrected energy at -242.3 eV for the cell shown. The energy of formation is -2.10 eV/atom.

Cell lengths 4.806, 5.824, 16.101 Å; angles 90.00, 90.00, 90.00 degrees
Space group Pbcn (No. 60)
Asymmetric unit:
1 Sn 0.000 0.021 0.250
2 Sn 0.003 0.344 0.084
3 O 0.206 0.376 0.529
4 O 0.211 0.066 0.362
5 O 0.227 0.295 0.195



(4)
Material: Cs2NaLuCl6
Method: DFT, PBE
State: relaxed

As for the electronic total energy: -4.01 eV per atom. The calculation puts the MP2020-corrected energy at -175.0 eV for the cell shown. The energy of formation is -2.50 eV/atom.

Cell lengths 10.819, 10.819, 10.819 Å; angles 90.00, 90.00, 90.00 degrees
Space group Fm-3m (No. 225)
Asymmetric unit:
1 Cs 0.250 0.250 0.250
2 Na 0.000 0.000 0.000
3 Lu 0.000 0.000 0.500
4 Cl 0.000 0.000 0.261



(5)
Material: CuPO3
Method: DFT, PBE
State: relaxed

As for the electronic total energy: -6.36 eV per atom. The calculation puts the MP2020-corrected energy at -271.0 eV for the cell shown. The energy of formation is -1.90 eV/atom.

Cell lengths 10.857, 4.734, 12.181 Å; angles 90.00, 120.43, 90.00 degrees
Space group P2_1/c (No. 14)
Asymmetric unit:
1 Cu 0.043 0.171 0.335
2 Cu 0.358 0.030 0.010
3 P 0.205 0.187 0.639
4 P 0.293 0.686 0.798
5 O 0.066 0.189 0.635
6 O 0.155 0.680 0.799
7 O 0.210 0.226 0.021
8 O 0.282 0.618 0.183
9 O 0.325 0.116 0.256
10 O 0.426 0.726 0.421



(6)
Material: Na3SbTe3
Method: DFT, PBE
State: relaxed

As for the electronic total energy: -3.14 eV per atom. The calculation puts the MP2020-corrected energy at -93.0 eV for the cell shown. The energy of formation is -0.82 eV/atom.

Cell lengths 9.678, 9.678, 9.678 Å; angles 90.00, 90.00, 90.00 degrees
Space group P2_13 (No. 198)
Asymmetric unit:
1 Na 0.090 0.410 0.590
2 Na 0.173 0.173 0.173
3 Na 0.183 0.817 0.317
4 Sb 0.039 0.539 0.961
5 Te 0.003 0.760 0.619



(7)
Material: Pr5Zr3Ni16As12
Method: DFT, PBE
State: relaxed

As for the electronic total energy: -6.32 eV per atom. The energy of formation is -0.82 eV/atom.

Cell lengths 12.8291, 12.8291, 4.0120 Å; angles 90.00, 90.00, 120.00 degrees
Space group P-62m (No. 189)
Asymmetric unit:
1 Pr 0.0000 0.8126 0.0000
2 Pr 0.3333 0.6667 0.5000
3 Zr 0.0000 0.4310 0.5000
4 Ni 0.0000 0.0000 0.5000
5 Ni 0.0000 0.2758 0.0000
6 Ni 0.1186 0.6335 0.0000
7 Ni 0.1862 0.3795 0.5000
8 As 0.0000 0.1808 0.5000
9 As 0.0000 0.6368 0.5000
10 As 0.1711 0.4741 0.0000



(8)
Material: Li5Tl2
Method: DFT, PBE
State: relaxed

As for the electronic total energy: -2.27 eV per atom. The energy of formation is -0.24 eV/atom.

Cell lengths 4.7419, 4.7419, 20.5005 Å; angles 90.00, 90.00, 120.00 degrees
Space group R-3m (No. 166, hexagonal axes)
Asymmetric unit:
1 Li 0.0000 0.0000 0.0000
2 Li 0.0000 0.0000 0.1454
3 Li 0.0000 0.0000 0.2862
4 Tl 0.0000 0.0000 0.4245



(9)
Material: Ga4H12C15O31
Method: DFT, PBE
State: relaxed

As for the electronic total energy: -6.59 eV per atom. The calculation puts the MP2020-corrected energy at -860.1 eV for the cell shown. The energy of formation is -1.38 eV/atom.

Cell lengths 11.729, 11.729, 11.729 Å; angles 90.00, 90.00, 90.00 degrees
Space group Im-3 (No. 204)
Asymmetric unit:
1 Ga 0.250 0.250 0.250
2 H 0.000 0.216 0.324
3 C 0.000 0.000 0.500
4 C 0.000 0.263 0.243
5 O 0.000 0.000 0.000
6 O 0.000 0.100 0.500
7 O 0.094 0.290 0.196



(10)
Material: BaMgBi2O5
Method: DFT, PBE
State: relaxed

As for the electronic total energy: -5.15 eV per atom. The calculation puts the MP2020-corrected energy at -49.8 eV for the cell shown. The energy of formation is -1.53 eV/atom.

Cell lengths 4.324, 4.324, 9.779 Å; angles 90.00, 90.00, 90.00 degrees
Space group P4/mmm (No. 123)
Asymmetric unit:
1 Ba 0.000 0.000 0.000
2 Mg 0.500 0.500 0.000
3 Bi 0.500 0.500 0.282
4 O 0.000 0.500 0.160
5 O 0.500 0.500 0.500



(11)
Material: Ba2LaCl7
Method: DFT, PBE
State: relaxed

As for the electronic total energy: -4.63 eV per atom. The calculation puts the MP2020-corrected energy at -202.2 eV for the cell shown. The energy of formation is -2.88 eV/atom.

Cell lengths 16.525, 8.167, 10.164 Å; angles 90.00, 123.69, 90.00 degrees
Space group C2/c (No. 15)
Asymmetric unit:
1 Ba 0.189 0.003 0.286
2 La 0.000 0.488 0.750
3 Cl 0.000 0.124 0.750
4 Cl 0.087 0.345 0.081
5 Cl 0.132 0.251 0.469
6 Cl 0.195 0.382 0.859



(12)
Material: LuP5O14
Method: DFT, PBE
State: relaxed

As for the electronic total energy: -7.38 eV per atom. The calculation puts the MP2020-corrected energy at -628.7 eV for the cell shown. The energy of formation is -2.82 eV/atom.

Cell lengths 8.760, 12.802, 8.936 Å; angles 90.00, 90.00, 90.00 degrees
Space group Pnma (No. 62)
Asymmetric unit:
1 Lu 0.022 0.250 0.061
2 P 0.005 0.583 0.297
3 P 0.069 0.750 0.514
4 P 0.246 0.568 0.775
5 O 0.002 0.637 0.152
6 O 0.028 0.154 0.561
7 O 0.032 0.750 0.675
8 O 0.118 0.505 0.679
9 O 0.153 0.119 0.163
10 O 0.161 0.530 0.346
11 O 0.172 0.627 0.899
12 O 0.228 0.750 0.454